## BaSrDyWO6 (GGA+U)

Data for a relaxed BaSrDyWO6 crystal.

Lattice parameters (Å, degrees): 5.959 5.987 8.407 89.46 89.93 89.69
Sites, in units of the cell vectors:
1 Ba 0.020 0.495 0.249
2 Ba 0.980 0.505 0.751
3 Sr 0.478 0.996 0.748
4 Sr 0.522 0.004 0.252
5 Dy 0.000 0.000 0.000
6 Dy 0.500 0.500 0.500
7 W 0.000 0.000 0.500
8 W 0.500 0.500 0.000
9 O 0.008 0.055 0.735
10 O 0.210 0.740 0.525
11 O 0.238 0.714 0.967
12 O 0.272 0.206 0.468
13 O 0.297 0.233 0.029
14 O 0.500 0.435 0.766
15 O 0.500 0.565 0.234
16 O 0.703 0.767 0.971
17 O 0.728 0.794 0.532
18 O 0.762 0.286 0.033
19 O 0.790 0.260 0.475
20 O 0.992 0.945 0.265

Summary:
Energy of formation from the pure elements = -3.143 eV/atom
Excess energy over the best structure of this formula in the dataset = 0.0000 eV/atom
Symmetry = P-1

=====

## BaSrDyWO6 (GGA+U)

Data for a relaxed BaSrDyWO6 crystal.

Lattice parameters (Å, degrees): 5.986 5.986 5.986 60.00 60.00 60.00
Sites, in units of the cell vectors:
1 Ba 0.000 0.000 0.000
2 Sr 0.500 0.500 0.500
3 Dy 0.750 0.750 0.750
4 W 0.250 0.250 0.250
5 O 0.014 0.014 0.486
6 O 0.014 0.486 0.014
7 O 0.014 0.486 0.486
8 O 0.486 0.014 0.014
9 O 0.486 0.014 0.486
10 O 0.486 0.486 0.014

Summary:
Energy of formation from the pure elements = -3.058 eV/atom
Excess energy over the best structure of this formula in the dataset = 0.0850 eV/atom
Symmetry = F-43m

=====

## BaSrDyWO6 (GGA+U)

Data for a relaxed BaSrDyWO6 crystal.

Lattice parameters (Å, degrees): 8.432 8.443 8.474 90.00 90.00 90.00
Sites, in units of the cell vectors:
1 Ba 0.000 0.000 0.000
2 Ba 0.000 0.000 0.500
3 Ba 0.000 0.500 0.000
4 Ba 0.500 0.500 0.500
5 Sr 0.000 0.500 0.500
6 Sr 0.500 0.000 0.000
7 Sr 0.500 0.000 0.500
8 Sr 0.500 0.500 0.000
9 Dy 0.252 0.250 0.250
10 Dy 0.252 0.750 0.750
11 Dy 0.748 0.250 0.750
12 Dy 0.748 0.750 0.250
13 W 0.253 0.251 0.750
14 W 0.253 0.749 0.250
15 W 0.747 0.251 0.250
16 W 0.747 0.749 0.750
17 O 0.016 0.230 0.727
18 O 0.016 0.770 0.273
19 O 0.220 0.486 0.718
20 O 0.220 0.514 0.282
21 O 0.231 0.275 0.988
22 O 0.231 0.725 0.012
23 O 0.282 0.218 0.513
24 O 0.282 0.782 0.487
25 O 0.283 0.014 0.777
26 O 0.283 0.986 0.223
27 O 0.486 0.281 0.782
28 O 0.486 0.719 0.218
29 O 0.514 0.281 0.218
30 O 0.514 0.719 0.782
31 O 0.717 0.014 0.223
32 O 0.717 0.986 0.777
33 O 0.718 0.218 0.487
34 O 0.718 0.782 0.513
35 O 0.769 0.275 0.012
36 O 0.769 0.725 0.988
37 O 0.780 0.486 0.282
38 O 0.780 0.514 0.718
39 O 0.984 0.230 0.273
40 O 0.984 0.770 0.727

Summary:
Energy of formation from the pure elements = -3.140 eV/atom
Excess energy over the best structure of this formula in the dataset = 0.0029 eV/atom
Symmetry = P222

=====

## Ba2DyV3O11 (GGA+U)

Data for a relaxed Ba2DyV3O11 crystal.

Lattice parameters (Å, degrees): 12.434 7.770 11.357 90.00 103.15 90.00
Sites, in units of the cell vectors:
1 Ba 0.055 0.248 0.390
2 Ba 0.055 0.252 0.890
3 Ba 0.270 0.727 0.942
4 Ba 0.270 0.773 0.442
5 Ba 0.730 0.227 0.558
6 Ba 0.730 0.273 0.058
7 Ba 0.945 0.748 0.110
8 Ba 0.945 0.752 0.610
9 Dy 0.498 0.501 0.720
10 Dy 0.498 0.999 0.220
11 Dy 0.502 0.001 0.780
12 Dy 0.502 0.499 0.280
13 V 0.185 0.019 0.174
14 V 0.185 0.481 0.674
15 V 0.188 0.018 0.671
16 V 0.188 0.482 0.171
17 V 0.406 0.246 0.976
18 V 0.406 0.254 0.476
19 V 0.594 0.746 0.524
20 V 0.594 0.754 0.024
21 V 0.812 0.518 0.829
22 V 0.812 0.982 0.329
23 V 0.815 0.519 0.326
24 V 0.815 0.981 0.826
25 O 0.108 0.560 0.769
26 O 0.108 0.940 0.269
27 O 0.113 0.564 0.038
28 O 0.113 0.936 0.538
29 O 0.125 0.556 0.534
30 O 0.125 0.944 0.034
31 O 0.130 0.560 0.281
32 O 0.130 0.940 0.781
33 O 0.166 0.250 0.167
34 O 0.166 0.250 0.667
35 O 0.286 0.139 0.447
36 O 0.286 0.361 0.947
37 O 0.320 0.555 0.718
38 O 0.320 0.945 0.218
39 O 0.324 0.550 0.194
40 O 0.324 0.950 0.694
41 O 0.382 0.028 0.973
42 O 0.382 0.472 0.473
43 O 0.484 0.220 0.363
44 O 0.484 0.280 0.863
45 O 0.487 0.216 0.625
46 O 0.487 0.284 0.125
47 O 0.513 0.716 0.875
48 O 0.513 0.784 0.375
49 O 0.516 0.720 0.137
50 O 0.516 0.780 0.637
51 O 0.618 0.528 0.527
52 O 0.618 0.972 0.027
53 O 0.676 0.050 0.306
54 O 0.676 0.450 0.806
55 O 0.680 0.055 0.782
56 O 0.680 0.445 0.282
57 O 0.714 0.639 0.053
58 O 0.714 0.861 0.553
59 O 0.834 0.750 0.333
60 O 0.834 0.750 0.833
61 O 0.870 0.060 0.219
62 O 0.870 0.440 0.719
63 O 0.875 0.056 0.966
64 O 0.875 0.444 0.466
65 O 0.887 0.064 0.462
66 O 0.887 0.436 0.962
67 O 0.892 0.060 0.731
68 O 0.892 0.440 0.231

Summary:
Energy of formation from the pure elements = -3.005 eV/atom
Symmetry = P2_1/c

=====

## Ba2DyWO6 (GGA+U)

Data for a relaxed Ba2DyWO6 crystal.

Lattice parameters (Å, degrees): 6.028 6.028 6.028 60.00 60.00 60.00
Sites, in units of the cell vectors:
1 Ba 0.250 0.250 0.250
2 Ba 0.750 0.750 0.750
3 Dy 0.000 0.000 0.000
4 W 0.500 0.500 0.500
5 O 0.264 0.264 0.736
6 O 0.264 0.736 0.264
7 O 0.264 0.736 0.736
8 O 0.736 0.264 0.264
9 O 0.736 0.264 0.736
10 O 0.736 0.736 0.264

Summary:
Energy of formation from the pure elements = -3.082 eV/atom
Symmetry = Fm-3m

=====

## BaErMn2O5 (GGA+U)

Data for a relaxed BaErMn2O5 crystal.

Lattice parameters (Å, degrees): 3.973 3.973 7.767 90.00 90.00 90.00
Sites, in units of the cell vectors:
1 Ba 0.000 0.000 0.000
2 Er 0.000 0.000 0.500
3 Mn 0.500 0.500 0.253
4 Mn 0.500 0.500 0.747
5 O 0.000 0.500 0.255
6 O 0.000 0.500 0.745
7 O 0.500 0.000 0.255
8 O 0.500 0.000 0.745
9 O 0.500 0.500 0.500

Summary:
Energy of formation from the pure elements = -2.459 eV/atom
Excess energy over the best structure of this formula in the dataset = 0.3382 eV/atom
Symmetry = P4/mmm

=====

## BaErMn2O5 (GGA+U)

Data for a relaxed BaErMn2O5 crystal.

Lattice parameters (Å, degrees): 5.610 5.610 7.819 90.00 90.00 90.00
Sites, in units of the cell vectors:
1 Ba 0.250 0.750 0.000
2 Ba 0.750 0.250 0.000
3 Er 0.250 0.750 0.500
4 Er 0.750 0.250 0.500
5 Mn 0.250 0.250 0.259
6 Mn 0.250 0.250 0.724
7 Mn 0.750 0.750 0.276
8 Mn 0.750 0.750 0.741
9 O 0.006 0.006 0.678
10 O 0.006 0.494 0.678
11 O 0.250 0.250 0.994
12 O 0.494 0.006 0.678
13 O 0.494 0.494 0.678
14 O 0.506 0.506 0.322
15 O 0.506 0.994 0.322
16 O 0.750 0.750 0.006
17 O 0.994 0.506 0.322
18 O 0.994 0.994 0.322

Summary:
Energy of formation from the pure elements = -2.798 eV/atom
Excess energy over the best structure of this formula in the dataset = 0.0000 eV/atom
Symmetry = P4/nmm

=====

## Ba2ErMoO6 (GGA+U)

Data for a relaxed Ba2ErMoO6 crystal.

Lattice parameters (Å, degrees): 5.983 5.983 5.983 60.00 60.00 60.00
Sites, in units of the cell vectors:
1 Ba 0.250 0.250 0.250
2 Ba 0.750 0.750 0.750
3 Er 0.000 0.000 0.000
4 Mo 0.500 0.500 0.500
5 O 0.263 0.263 0.737
6 O 0.263 0.737 0.263
7 O 0.263 0.737 0.737
8 O 0.737 0.263 0.263
9 O 0.737 0.263 0.737
10 O 0.737 0.737 0.263

Summary:
Energy of formation from the pure elements = -3.056 eV/atom
Symmetry = Fm-3m

=====

## BaNaEuFeO6 (GGA+U)

Data for a relaxed BaNaEuFeO6 crystal.

Lattice parameters (Å, degrees): 5.892 5.892 5.892 60.00 60.00 60.00
Sites, in units of the cell vectors:
1 Ba 0.000 0.000 0.000
2 Na 0.500 0.500 0.500
3 Eu 0.750 0.750 0.750
4 Fe 0.250 0.250 0.250
5 O 0.020 0.020 0.480
6 O 0.020 0.480 0.020
7 O 0.020 0.480 0.480
8 O 0.480 0.020 0.020
9 O 0.480 0.020 0.480
10 O 0.480 0.480 0.020

Summary:
Energy of formation from the pure elements = -2.059 eV/atom
Symmetry = F-43m

=====

## BaNdEuFeO6 (GGA+U)

Data for a relaxed BaNdEuFeO6 crystal.

Lattice parameters (Å, degrees): 5.937 5.937 5.937 60.00 60.00 60.00
Sites, in units of the cell vectors:
1 Ba 0.000 0.000 0.000
2 Nd 0.750 0.750 0.750
3 Eu 0.500 0.500 0.500
4 Fe 0.250 0.250 0.250
5 O 0.021 0.021 0.479
6 O 0.021 0.479 0.021
7 O 0.021 0.479 0.479
8 O 0.479 0.021 0.021
9 O 0.479 0.021 0.479
10 O 0.479 0.479 0.021

Summary:
Energy of formation from the pure elements = -2.615 eV/atom
Symmetry = F-43m

=====

## BaEuFe4O12 (GGA+U)

Data for a relaxed BaEuFe4O12 crystal.

Lattice parameters (Å, degrees): 5.458 5.458 7.706 90.00 90.00 90.00
Sites, in units of the cell vectors:
1 Ba 0.000 0.000 0.000
2 Eu 0.500 0.500 0.500
3 Fe 0.000 0.500 0.250
4 Fe 0.000 0.500 0.750
5 Fe 0.500 0.000 0.250
6 Fe 0.500 0.000 0.750
7 O 0.000 0.500 0.000
8 O 0.000 0.500 0.500
9 O 0.259 0.259 0.262
10 O 0.259 0.259 0.738
11 O 0.259 0.741 0.262
12 O 0.259 0.741 0.738
13 O 0.500 0.000 0.000
14 O 0.500 0.000 0.500
15 O 0.741 0.259 0.262
16 O 0.741 0.259 0.738
17 O 0.741 0.741 0.262
18 O 0.741 0.741 0.738

Summary:
Energy of formation from the pure elements = -1.527 eV/atom
Symmetry = P4/mmm

=====

## Ba3Eu3Fe6O16 (GGA+U)

Data for a relaxed Ba3Eu3Fe6O16 crystal.

Lattice parameters (Å, degrees): 8.847 8.847 9.722 122.42 122.42 37.46
Sites, in units of the cell vectors:
1 Ba 0.000 0.000 0.000
2 Ba 0.333 0.333 0.662
3 Ba 0.667 0.667 0.338
4 Eu 0.159 0.159 0.818
5 Eu 0.500 0.500 0.500
6 Eu 0.841 0.841 0.182
7 Fe 0.079 0.079 0.420
8 Fe 0.245 0.245 0.248
9 Fe 0.416 0.416 0.078
10 Fe 0.584 0.584 0.922
11 Fe 0.755 0.755 0.752
12 Fe 0.921 0.921 0.580
13 O 0.000 0.000 0.500
14 O 0.065 0.566 0.934
15 O 0.100 0.581 0.397
16 O 0.162 0.162 0.330
17 O 0.243 0.724 0.254
18 O 0.276 0.757 0.746
19 O 0.419 0.900 0.603
20 O 0.434 0.935 0.066
21 O 0.500 0.500 0.000
22 O 0.566 0.065 0.934
23 O 0.581 0.100 0.397
24 O 0.724 0.243 0.254
25 O 0.757 0.276 0.746
26 O 0.838 0.838 0.670
27 O 0.900 0.419 0.603
28 O 0.935 0.434 0.066

Summary:
Energy of formation from the pure elements = -2.373 eV/atom
Symmetry = C2/m

=====

Q: energy of formation from the pure elements of number 2 (BaSrDyWO6)?
A: -3.058 eV/atom

=====

Q: What is the energy of formation from the pure elements in the twelfth record?
A: -2.373 eV/atom

=====

Q: Which formula does entry 6 have?
A: BaErMn2O5